Record 1
# TbGeAu (PBE, relaxed)
# Total energy: -30.1 eV/cell
data_TbGeAu
_chemical_formula_sum 'Tb2 Ge2 Au2'
_cell_length_a 4.4847
_cell_length_b 4.4847
_cell_length_c 7.3816
_cell_angle_alpha 90.00
_cell_angle_beta 90.00
_cell_angle_gamma 120.00
_space_group_name_H-M_alt 'P 63 m c'
_space_group_IT_number 186
_space_group_name_Hall 'P 6c -2c'
loop_
_atom_site_label
_atom_site_type_symbol
_atom_site_fract_x
_atom_site_fract_y
_atom_site_fract_z
Tb1 Tb 0.0000 0.0000 0.0000
Ge1 Ge 0.3333 0.6667 0.2941
Au1 Au 0.3333 0.6667 0.7160


Record 2
# TmGeAu (PBE, relaxed)
# Total energy: -29.6 eV/cell
data_TmGeAu
_chemical_formula_sum 'Tm2 Ge2 Au2'
_cell_length_a 4.4431
_cell_length_b 4.4431
_cell_length_c 7.2301
_cell_angle_alpha 90.00
_cell_angle_beta 90.00
_cell_angle_gamma 120.00
_space_group_name_H-M_alt 'P 63 m c'
_space_group_IT_number 186
_space_group_name_Hall 'P 6c -2c'
loop_
_atom_site_label
_atom_site_type_symbol
_atom_site_fract_x
_atom_site_fract_y
_atom_site_fract_z
Tm1 Tm 0.0000 0.0000 0.0000
Ge1 Ge 0.3333 0.6667 0.2038
Au1 Au 0.3333 0.6667 0.7909